The following is a DFT calculation (PBE+U) of a relaxed structure of Fe2ClO3.

Calculated values
Formation enthalpy at 0 K (eV/atom): -1.122
Calculated density (g cm⁻³): 3.791
Crystal system: trigonal
Total magnetization (Bohr magnetons per cell): 18.00

Cell: 5.989 5.989 5.989 Å, 65.79 65.79 65.79°
Sites, in units of the cell vectors:
O 0.269 0.269 0.669
O 0.269 0.669 0.269
O 0.731 0.731 0.331
O 0.731 0.331 0.731
O 0.331 0.731 0.731
O 0.669 0.269 0.269
Fe 0.500 0.500 0.500
Fe 0.000 0.500 0.500
Fe 0.500 0.500 0.000
Fe 0.500 0.000 0.500
Cl 0.786 0.786 0.786
Cl 0.214 0.214 0.214